[1]
# Zn3CdSe4, optimized geometry, DFT meta-GGA r2SCAN
data_Zn3CdSe4
_space_group_name_H-M_alt 'P -4 3 m'
_space_group_IT_number 215
_space_group_name_Hall 'P -4 2 3'
_cell_length_a 5.781
_cell_length_b 5.781
_cell_length_c 5.781
_cell_angle_alpha 90.00
_cell_angle_beta 90.00
_cell_angle_gamma 90.00
loop_
_atom_site_label
_atom_site_type_symbol
_atom_site_fract_x
_atom_site_fract_y
_atom_site_fract_z
_atom_site_occupancy
Zn1 Zn 0.000 0.000 0.500 1
Cd1 Cd 0.500 0.500 0.500 1
Se1 Se 0.238 0.238 0.762 1
# * DFT total energy: -13.8174 eV per atom
# * formation enthalpy at 0 K: -0.8070 eV per atom
# * M_tot: 0.00 μB per cell

=====

[2]
# Sm2TlCd, optimized geometry, DFT meta-GGA r2SCAN
data_Sm2TlCd
_space_group_name_H-M_alt 'F m -3 m'
_space_group_IT_number 225
_space_group_name_Hall '-F 4 2 3'
_cell_length_a 7.642
_cell_length_b 7.642
_cell_length_c 7.642
_cell_angle_alpha 90.00
_cell_angle_beta 90.00
_cell_angle_gamma 90.00
loop_
_atom_site_label
_atom_site_type_symbol
_atom_site_fract_x
_atom_site_fract_y
_atom_site_fract_z
_atom_site_occupancy
Sm1 Sm 0.250 0.250 0.250 1
Tl1 Tl 0.000 0.000 0.000 1
Cd1 Cd 0.000 0.000 0.500 1
# * DFT total energy: -33.6467 eV per atom
# * formation enthalpy at 0 K: -0.4591 eV per atom
# * M_tot: 3.60 μB per cell

=====

[3]
# SmTlCd, optimized geometry, DFT meta-GGA r2SCAN
data_SmTlCd
_space_group_name_H-M_alt 'P 63/m m c'
_space_group_IT_number 194
_space_group_name_Hall '-P 6c 2c'
_cell_length_a 4.9306
_cell_length_b 4.9306
_cell_length_c 7.4656
_cell_angle_alpha 90.00
_cell_angle_beta 90.00
_cell_angle_gamma 120.00
loop_
_atom_site_label
_atom_site_type_symbol
_atom_site_fract_x
_atom_site_fract_y
_atom_site_fract_z
_atom_site_occupancy
Sm1 Sm 0.0000 0.0000 0.0000 1
Tl1 Tl 0.3333 0.6667 0.2500 1
Cd1 Cd 0.3333 0.6667 0.7500 1
# * DFT total energy: -34.7491 eV per atom
# * formation enthalpy at 0 K: -0.4101 eV per atom
# * M_tot: 0.00 μB per cell

=====

[4]
# SmZn2Cd, optimized geometry, DFT meta-GGA r2SCAN
data_SmZn2Cd
_space_group_name_H-M_alt 'F m -3 m'
_space_group_IT_number 225
_space_group_name_Hall '-F 4 2 3'
_cell_length_a 6.833
_cell_length_b 6.833
_cell_length_c 6.833
_cell_angle_alpha 90.00
_cell_angle_beta 90.00
_cell_angle_gamma 90.00
loop_
_atom_site_label
_atom_site_type_symbol
_atom_site_fract_x
_atom_site_fract_y
_atom_site_fract_z
_atom_site_occupancy
Sm1 Sm 0.000 0.000 0.000 1
Zn1 Zn 0.250 0.250 0.250 1
Cd1 Cd 0.000 0.000 0.500 1
# * DFT total energy: -17.2625 eV per atom
# * formation enthalpy at 0 K: -0.3478 eV per atom
# * M_tot: 0.00 μB per cell

=====

[5]
# Yb2CdSn, optimized geometry, DFT meta-GGA r2SCAN
data_Yb2CdSn
_space_group_name_H-M_alt 'F m -3 m'
_space_group_IT_number 225
_space_group_name_Hall '-F 4 2 3'
_cell_length_a 7.323
_cell_length_b 7.323
_cell_length_c 7.323
_cell_angle_alpha 90.00
_cell_angle_beta 90.00
_cell_angle_gamma 90.00
loop_
_atom_site_label
_atom_site_type_symbol
_atom_site_fract_x
_atom_site_fract_y
_atom_site_fract_z
_atom_site_occupancy
Yb1 Yb 0.250 0.250 0.250 1
Cd1 Cd 0.000 0.000 0.000 1
Sn1 Sn 0.000 0.000 0.500 1
# * DFT total energy: -29.9610 eV per atom
# * formation enthalpy at 0 K: -0.4835 eV per atom
# * M_tot: 0.00 μB per cell

=====

[6]
# YbCdSn, optimized geometry, DFT meta-GGA r2SCAN
data_YbCdSn
_space_group_name_H-M_alt 'P -6 2 m'
_space_group_IT_number 189
_space_group_name_Hall 'P -6 -2'
_cell_length_a 7.6698
_cell_length_b 7.6698
_cell_length_c 4.3400
_cell_angle_alpha 90.00
_cell_angle_beta 90.00
_cell_angle_gamma 120.00
loop_
_atom_site_label
_atom_site_type_symbol
_atom_site_fract_x
_atom_site_fract_y
_atom_site_fract_z
_atom_site_occupancy
Yb1 Yb 0.0000 0.3988 0.0000 1
Cd1 Cd 0.0000 0.7426 0.5000 1
Sn1 Sn 0.0000 0.0000 0.0000 1
Sn2 Sn 0.3333 0.6667 0.5000 1
# * DFT total energy: -27.5418 eV per atom
# * formation enthalpy at 0 K: -0.4150 eV per atom
# * M_tot: 0.00 μB per cell